Compound: Na12Mg10Nb2Si3S15O72
Source: Materials Project
Functional: PBE
Structure: optimized geometry

Unit cell a=8.835 b=8.875 c=22.506 alpha=90.03 beta=90.24 gamma=119.81
Atoms (fractional coordinates):
1 Na 0.303 0.338 0.577
2 Na 0.672 0.971 0.593
3 Na 0.298 0.970 0.093
4 Na 0.029 0.334 0.083
5 Na 0.331 0.047 0.407
6 Na 0.687 0.653 0.415
7 Na 0.011 0.016 0.497
8 Na 0.987 0.989 0.995
9 Na 0.672 0.317 0.828
10 Na 0.647 0.319 0.327
11 Na 0.344 0.679 0.166
12 Na 0.328 0.673 0.666
13 Mg 0.019 0.020 0.349
14 Mg 0.995 0.004 0.850
15 Mg 0.989 0.989 0.656
16 Mg 0.002 0.988 0.154
17 Mg 0.670 0.330 0.687
18 Mg 0.656 0.328 0.187
19 Mg 0.668 0.335 0.980
20 Mg 0.665 0.335 0.481
21 Mg 0.339 0.667 0.015
22 Mg 0.323 0.659 0.516
23 Nb 0.332 0.660 0.312
24 Nb 0.342 0.673 0.812
25 Si 0.301 0.009 0.250
26 Si 0.720 0.018 0.749
27 Si 0.328 0.365 0.422
28 S 0.713 0.709 0.252
29 S 0.995 0.291 0.248
30 S 0.294 0.291 0.750
31 S 0.997 0.708 0.752
32 S 0.960 0.337 0.584
33 S 0.370 0.038 0.582
34 S 0.672 0.629 0.583
35 S 0.955 0.625 0.082
36 S 0.668 0.041 0.083
37 S 0.375 0.337 0.082
38 S 0.629 0.666 0.918
39 S 0.040 0.372 0.919
40 S 0.331 0.960 0.918
41 S 0.626 0.957 0.418
42 S 0.040 0.663 0.417
43 O 0.210 0.019 0.310
44 O 0.805 0.789 0.307
45 O 0.971 0.186 0.301
46 O 0.213 0.185 0.802
47 O 0.983 0.792 0.805
48 O 0.825 0.025 0.806
49 O 0.771 0.963 0.686
50 O 0.190 0.221 0.695
51 O 0.039 0.815 0.698
52 O 0.786 0.819 0.199
53 O 0.026 0.219 0.194
54 O 0.192 0.964 0.188
55 O 0.875 0.354 0.637
56 O 0.484 0.124 0.634
57 O 0.646 0.517 0.634
58 O 0.876 0.518 0.135
59 O 0.640 0.122 0.135
60 O 0.478 0.361 0.136
61 O 0.456 0.308 0.029
62 O 0.853 0.539 0.028
63 O 0.697 0.149 0.029
64 O 0.447 0.141 0.527
65 O 0.688 0.548 0.527
66 O 0.852 0.310 0.530
67 O 0.544 0.690 0.970
68 O 0.141 0.455 0.974
69 O 0.309 0.857 0.972
70 O 0.547 0.854 0.472
71 O 0.315 0.458 0.482
72 O 0.155 0.702 0.469
73 O 0.130 0.646 0.363
74 O 0.507 0.871 0.365
75 O 0.354 0.502 0.365
76 O 0.134 0.485 0.867
77 O 0.351 0.863 0.865
78 O 0.514 0.648 0.864
79 O 0.008 0.811 0.410
80 O 0.793 0.963 0.408
81 O 0.160 0.173 0.416
82 O 0.029 0.201 0.914
83 O 0.175 0.975 0.909
84 O 0.802 0.819 0.911
85 O 0.985 0.181 0.587
86 O 0.196 0.023 0.589
87 O 0.830 0.805 0.587
88 O 0.977 0.802 0.086
89 O 0.827 0.023 0.090
90 O 0.194 0.180 0.086
91 O 0.672 0.169 0.746
92 O 0.473 0.329 0.743
93 O 0.846 0.536 0.744
94 O 0.691 0.536 0.244
95 O 0.852 0.327 0.242
96 O 0.496 0.170 0.246
97 O 0.635 0.504 0.920
98 O 0.866 0.357 0.921
99 O 0.491 0.130 0.920
100 O 0.643 0.130 0.422
101 O 0.510 0.355 0.419
102 O 0.871 0.502 0.422
103 O 0.349 0.491 0.076
104 O 0.137 0.646 0.078
105 O 0.508 0.866 0.076
106 O 0.356 0.863 0.577
107 O 0.514 0.654 0.580
108 O 0.137 0.494 0.580
109 O 0.318 0.823 0.262
110 O 0.528 0.688 0.256
111 O 0.163 0.470 0.256
112 O 0.304 0.471 0.759
113 O 0.158 0.682 0.760
114 O 0.511 0.827 0.763

Output
Spin magnetization ... 0.000 μB/f.u.
ΔE_f ... -2.39 eV per atom
SG ... P1 (1)